# 1
## Fe2O3F (PBE+U)

Data for a relaxed structure of Fe2O3F.

Geometry as CIF:
```
data_Fe2O3F
_chemical_formula_sum 'Fe10 O15 F5'
_cell_length_a 4.7078
_cell_length_b 3.0093
_cell_length_c 23.3959
_cell_angle_alpha 90.00
_cell_angle_beta 92.51
_cell_angle_gamma 90.00
_symmetry_space_group_name_H-M 'P 1 m 1'
_symmetry_Int_Tables_number 6
_symmetry_space_group_name_Hall 'P -2y'
loop_
_atom_site_label
_atom_site_fract_x
_atom_site_fract_y
_atom_site_fract_z
_atom_site_occupancy
Fe1 0.0000 0.0000 0.0000 1
Fe2 0.0159 0.0000 0.7993 1
Fe3 0.0416 0.0000 0.5996 1
Fe4 0.0798 0.0000 0.4021 1
Fe5 0.4931 0.5000 0.2962 1
Fe6 0.5212 0.5000 0.0922 1
Fe7 0.5408 0.5000 0.8931 1
Fe8 0.5672 0.5000 0.6931 1
Fe9 0.5979 0.5000 0.4921 1
Fe10 0.9753 0.0000 0.2009 1
O1 0.1680 0.5000 0.2377 1
O2 0.2108 0.5000 0.0354 1
O3 0.2278 0.5000 0.8333 1
O4 0.2459 0.5000 0.6341 1
O5 0.2733 0.5000 0.4365 1
O6 0.3412 0.0000 0.3381 1
O7 0.6730 0.0000 0.2604 1
O8 0.7106 0.0000 0.0591 1
O9 0.7224 0.0000 0.8566 1
O10 0.7390 0.0000 0.6556 1
O11 0.7772 0.0000 0.4561 1
O12 0.8069 0.5000 0.1599 1
O13 0.8319 0.5000 0.9569 1
O14 0.8471 0.5000 0.7555 1
O15 0.8826 0.5000 0.5563 1
F1 0.3127 0.0000 0.1372 1
F2 0.3304 0.0000 0.9351 1
F3 0.3499 0.0000 0.7333 1
F4 0.3886 0.0000 0.5339 1
F5 0.8540 0.5000 0.3581 1
```


# 2
## Fe2O3F (PBE+U)

Data for a relaxed structure of Fe2O3F.

Geometry as CIF:
```
data_Fe2O3F
_chemical_formula_sum 'Fe4 O6 F2'
_cell_length_a 3.0147
_cell_length_b 6.4066
_cell_length_c 6.9055
_cell_angle_alpha 90.00
_cell_angle_beta 90.00
_cell_angle_gamma 90.00
_symmetry_space_group_name_H-M 'A m m 2'
_symmetry_Int_Tables_number 38
_symmetry_space_group_name_Hall 'A 2 -2'
loop_
_atom_site_label
_atom_site_fract_x
_atom_site_fract_y
_atom_site_fract_z
_atom_site_occupancy
Fe1 0.0000 0.0000 0.0000 1
Fe2 0.5000 0.0000 0.4626 1
O1 0.0000 0.0000 0.2881 1
O2 0.5000 0.1926 0.9809 1
F1 0.0000 0.0000 0.6709 1
```


# 3
## Fe5O8F2 (PBE+U)

Data for a relaxed structure of Fe5O8F2.

Geometry as CIF:
```
data_Fe5O8F2
_chemical_formula_sum 'Fe10 O16 F4'
_cell_length_a 4.6614
_cell_length_b 7.5968
_cell_length_c 9.8142
_cell_angle_alpha 70.28
_cell_angle_beta 86.77
_cell_angle_gamma 88.28
_symmetry_space_group_name_H-M 'P -1'
_symmetry_Int_Tables_number 2
_symmetry_space_group_name_Hall '-P 1'
loop_
_atom_site_label
_atom_site_fract_x
_atom_site_fract_y
_atom_site_fract_z
_atom_site_occupancy
Fe1 0.0000 0.0000 0.0000 1
Fe2 0.0030 0.5967 0.2036 1
Fe3 0.0111 0.1979 0.4059 1
Fe4 0.4731 0.2954 0.0877 1
Fe5 0.4753 0.0923 0.6910 1
Fe6 0.5000 0.5000 0.5000 1
O1 0.1777 0.2377 0.9683 1
O2 0.1859 0.4363 0.3735 1
O3 0.1888 0.0285 0.5792 1
O4 0.3004 0.3380 0.6753 1
O5 0.3045 0.1411 0.2732 1
O6 0.3079 0.5388 0.0787 1
O7 0.3091 0.9378 0.8815 1
O8 0.3117 0.7377 0.4792 1
F1 0.2000 0.6406 0.7818 1
F2 0.2041 0.8416 0.1835 1
```


# 4
## Fe2O3F (PBE+U)

Data for a relaxed structure of Fe2O3F.

Geometry as CIF:
```
data_Fe2O3F
_chemical_formula_sum 'Fe16 O24 F8'
_cell_length_a 9.3819
_cell_length_b 6.0176
_cell_length_c 10.1815
_cell_angle_alpha 90.00
_cell_angle_beta 113.39
_cell_angle_gamma 90.00
_symmetry_space_group_name_H-M 'C 1 2/m 1'
_symmetry_Int_Tables_number 12
_symmetry_space_group_name_Hall '-C 2y'
loop_
_atom_site_label
_atom_site_fract_x
_atom_site_fract_y
_atom_site_fract_z
_atom_site_occupancy
Fe1 0.0000 0.0000 0.0000 1
Fe2 0.0000 0.5000 0.0000 1
Fe3 0.1258 0.2451 0.7493 1
Fe4 0.2214 0.5000 0.4819 1
O1 0.0053 0.5000 0.3401 1
O2 0.0489 0.2490 0.9033 1
O3 0.2029 0.2490 0.5967 1
O4 0.2381 0.5000 0.1599 1
F1 0.0277 0.0000 0.3514 1
F2 0.2239 0.0000 0.1498 1
```


# 5
## Fe6O5F7 (PBE+U)

Data for a relaxed structure of Fe6O5F7.

Geometry as CIF:
```
data_Fe6O5F7
_chemical_formula_sum 'Fe6 O5 F7'
_cell_length_a 4.7663
_cell_length_b 5.6613
_cell_length_c 7.8872
_cell_angle_alpha 85.10
_cell_angle_beta 87.86
_cell_angle_gamma 87.22
_symmetry_space_group_name_H-M 'P 1'
_symmetry_Int_Tables_number 1
_symmetry_space_group_name_Hall 'P 1'
loop_
_atom_site_label
_atom_site_fract_x
_atom_site_fract_y
_atom_site_fract_z
_atom_site_occupancy
Fe1 0.0000 0.0000 0.0000 1
Fe2 0.0041 0.3244 0.6858 1
Fe3 0.0123 0.6702 0.3590 1
Fe4 0.4849 0.5070 0.0356 1
Fe5 0.5344 0.1606 0.3323 1
Fe6 0.5385 0.8537 0.6955 1
O1 0.3071 0.4630 0.2608 1
O2 0.3180 0.7985 0.9183 1
O3 0.7100 0.8682 0.4517 1
O4 0.7147 0.2115 0.1123 1
O5 0.8195 0.0319 0.7847 1
F1 0.2041 0.9616 0.2476 1
F2 0.2046 0.6357 0.5860 1
F3 0.2191 0.2979 0.9214 1
F4 0.3279 0.1325 0.5724 1
F5 0.6984 0.5394 0.7933 1
F6 0.8070 0.3759 0.4468 1
F7 0.8193 0.7058 0.1230 1
```


# 6
## Fe2O3F (PBE+U)

Data for a relaxed structure of Fe2O3F.

Geometry as CIF:
```
data_Fe2O3F
_chemical_formula_sum 'Fe10 O15 F5'
_cell_length_a 4.6981
_cell_length_b 7.6488
_cell_length_c 9.8583
_cell_angle_alpha 69.72
_cell_angle_beta 86.17
_cell_angle_gamma 87.47
_symmetry_space_group_name_H-M 'P 1'
_symmetry_Int_Tables_number 1
_symmetry_space_group_name_Hall 'P 1'
loop_
_atom_site_label
_atom_site_fract_x
_atom_site_fract_y
_atom_site_fract_z
_atom_site_occupancy
Fe1 0.0000 0.0000 0.0000 1
Fe2 0.9997 0.2009 0.4011 1
Fe3 0.0197 0.6127 0.2045 1
Fe4 0.4622 0.6977 0.8827 1
Fe5 0.4693 0.4968 0.4867 1
Fe6 0.4980 0.9049 0.2975 1
Fe7 0.5026 0.3069 0.0988 1
Fe8 0.5311 0.1094 0.7114 1
Fe9 0.9921 0.8052 0.5948 1
Fe10 0.9937 0.4040 0.7942 1
O1 0.1723 0.6404 0.7658 1
O2 0.1820 0.4331 0.3741 1
O3 0.1881 0.8506 0.1699 1
O4 0.2951 0.7415 0.4730 1
O5 0.3013 0.5426 0.0715 1
O6 0.3056 0.3418 0.6752 1
O7 0.3068 0.9407 0.8773 1
O8 0.3083 0.1454 0.2763 1
O9 0.6841 0.6650 0.3191 1
O10 0.6851 0.4649 0.9166 1
O11 0.6912 0.8639 0.7210 1
O12 0.6943 0.2644 0.5206 1
O13 0.6974 0.0688 0.1214 1
O14 0.8178 0.9699 0.4254 1
O15 0.8209 0.1649 0.8288 1
F1 0.1981 0.2454 0.9779 1
F2 0.2002 0.0418 0.5804 1
F3 0.7914 0.5635 0.6145 1
F4 0.8022 0.3701 0.2166 1
F5 0.8034 0.7598 0.0219 1
```


no.,ΔH_f (0 K) (meV/atom),magnetic moment (μB per cell),relative energy among the computed polymorphs (eV per formula unit)
1,-1658,45.05,0.09
2,-1659,18.02,0.09
3,-1583,16.32,0.00
4,-1660,72.01,0.08
5,-2094,29.00,0.33
6,-1658,45.00,0.09